Entry from the Materials Project database: a relaxed structure of CoAsSe (PBE).

Values from the calculation:
Crystal system: monoclinic
E_form in eV per atom: -0.478
Size of the total moment in μB per cell: 0.00
Corrected total energy (MP2020 scheme) in eV per atom: -5.5654
E in eV per cell: -32.4

Cell lengths 3.5614, 4.8341, 5.7882 Å; angles 88.73, 90.00, 90.00 degrees
Last column: nearest neighbours and their distance in Å.
Fractional positions:
Co (0.5000, 0.5000, 0.5000)  4 Se 2.37, 2 As 2.39
Co (0.0000, 0.0000, 0.0000)  2 Se 2.32, 4 As 2.40
As (0.5000, 0.2921, 0.1285)  3 Co 2.39-2.40, 1 As 2.47
As (0.5000, 0.7079, 0.8715)  3 Co 2.39-2.40, 1 As 2.47
Se (0.0000, 0.7842, 0.3629)  3 Co 2.32-2.37
Se (0.0000, 0.2158, 0.6371)  3 Co 2.32-2.37

Entry from the Materials Project database: a relaxed structure of Rb2ErAgCl6 (PBE).

Values from the calculation:
Crystal system: cubic
E_form in eV per atom: -2.183
Size of the total moment in μB per cell: 0.00
Corrected total energy (MP2020 scheme) in eV per atom: -4.2278
E in eV per cell: -38.6

Cell lengths 7.5901, 7.5901, 7.5901 Å; angles 60.00, 60.00, 60.00 degrees
Last column: nearest neighbours and their distance in Å.
Fractional positions:
Rb (0.7500, 0.7500, 0.7500)  12 Cl 3.80
Rb (0.2500, 0.2500, 0.2500)  12 Cl 3.80
Er (0.0000, 0.0000, 0.0000)  6 Cl 2.61
Ag (0.5000, 0.5000, 0.5000)  6 Cl 2.75
Cl (0.7566, 0.2434, 0.2434)  1 Er 2.61, 1 Ag 2.75
Cl (0.2434, 0.2434, 0.7566)  1 Er 2.61, 1 Ag 2.75
Cl (0.2434, 0.7566, 0.7566)  1 Er 2.61, 1 Ag 2.75
Cl (0.2434, 0.7566, 0.2434)  1 Er 2.61, 1 Ag 2.75
Cl (0.7566, 0.2434, 0.7566)  1 Er 2.61, 1 Ag 2.75
Cl (0.7566, 0.7566, 0.2434)  1 Er 2.61, 1 Ag 2.75

Entry from the Materials Project database: a relaxed structure of ThBr4 (PBE).

Values from the calculation:
Crystal system: tetragonal
E_form in eV per atom: -2.171
Corrected total energy (MP2020 scheme) in eV per atom: -4.9635
E in eV per cell: -45.4

Cell lengths 8.4295, 8.4295, 8.4295 Å; angles 131.14, 131.14, 71.58 degrees
Last column: nearest neighbours and their distance in Å.
Fractional positions:
Th (0.0000, 0.0000, 0.0000)  8 Br 2.95-3.05
Th (0.7500, 0.2500, 0.5000)  8 Br 2.95-3.05
Br (0.4102, 0.8616, 0.1227)  2 Th 2.95-3.05
Br (0.0375, 0.6602, 0.0486)  2 Th 2.95-3.05
Br (0.3398, 0.3884, 0.3773)  2 Th 2.95-3.05
Br (0.1384, 0.2611, 0.5486)  2 Th 2.95-3.05
Br (0.6116, 0.9889, 0.9514)  2 Th 2.95-3.05
Br (0.0111, 0.9625, 0.6227)  2 Th 2.95-3.05
Br (0.7125, 0.5898, 0.4514)  2 Th 2.95-3.05
Br (0.7389, 0.2875, 0.8773)  2 Th 2.95-3.05